! Mg4FeO5 | the Materials Project | GGA+U | optimized geometry; values from VASP
! **Offset from the most stable computed form**: 0.0002 eV/atom
! **ρ**: 3.9 Mg/m³
! **Formation enthalpy at 0 K**: -2.74 eV/atom
&SYSTEM
  ibrav = 0, nat = 40, ntyp = 3
/
ATOMIC_SPECIES
Fe 55.84 Fe.upf
O 16.00 O.upf
Mg 24.30 Mg.upf
ATOMIC_POSITIONS angstrom
Fe 0.000 0.000 0.000
O 4.270 -8.523 -6.418
Mg 2.149 -8.531 -6.460
O 2.164 -2.165 -2.183
O 0.041 -6.423 -0.031
Mg 4.277 -6.404 -6.460
Mg 6.408 -6.408 -4.307
Mg 0.039 -8.548 -0.023
O 2.160 -6.415 -2.170
Fe 6.444 -8.572 -6.494
O 4.280 -6.407 -4.310
O -2.075 -6.433 2.077
Mg 0.040 -4.295 -0.034
Fe 0.008 -4.262 4.305
Mg 2.158 -8.540 -2.165
Mg 2.155 -6.409 -4.318
O 4.283 -8.538 -2.157
O 6.411 -6.411 -2.157
O 0.052 -4.306 2.077
Mg 0.035 -6.417 -2.176
O 0.033 -8.542 -2.170
Mg 2.166 -6.421 -0.023
O 6.400 -8.528 -4.266
O 0.037 -4.292 -2.183
O 0.029 -6.411 -4.323
O -2.080 -4.303 -0.075
Mg 2.167 -2.168 -0.033
O 2.157 -4.284 -4.323
O 4.272 -10.656 -4.265
Mg 4.286 -6.413 -2.165
O 2.143 -10.650 -6.418
O 2.152 -8.534 -4.310
Mg 4.281 -8.535 -4.307
O 2.168 -4.296 -0.031
Mg 0.027 -8.537 -4.318
O 0.047 -2.176 -0.075
Mg 0.044 -6.426 2.119
Fe 4.317 -10.699 -6.494
Mg 2.171 -4.299 2.119
Mg 2.162 -4.290 -2.176
CELL_PARAMETERS angstrom
2.135 -2.135 4.306
-4.255 -4.255 0.000
6.440 -6.440 -8.646